DFT (r2SCAN) results for a relaxed ThBi3 crystal.

Its total energy is -250.42 eV/cell. The value obtained for the volume is 121.79 Å³ per cell. The total magnetic moment comes out at 0.0 μB/f.u. The value obtained for the energy of formation from the pure elements is -360 meV per atom.

The structure belongs to space group Pm-3m (No. 221); the cell edges are 4.9568, 4.9568 and 4.9568 Å and the angles 90.00°, 90.00° and 90.00°. The asymmetric unit holds Th at (0.0000, 0.0000, 0.0000) and Bi at (0.0000, 0.5000, 0.5000).